[1]
Below is crystalline LiRe5O15 at its relaxed geometry, with properties calculated at the GGA-PBE level.

Properties
Crystal system: triclinic
Symmetry: No. 2
Total magnetic moment in μB per atom: 0.000
VASP energy in eV per cell: -690.6
ΔH_f (0 K) in kJ/mol of formula units: -4304

a b c (Å): 6.485 10.600 16.304
angles (deg): 108.91 97.77 90.08
Sites, in units of the cell vectors:
Re  0.699  0.300  0.600
Re  0.401  0.098  0.700
Re  0.800  0.198  0.899
Re  0.902  0.099  0.200
Re  0.500  0.500  0.000
Re  0.199  0.300  0.100
Re  0.699  0.800  0.601
Re  0.401  0.601  0.699
Re  0.000  0.000  0.500
Re  0.902  0.603  0.200
Re  0.200  0.802  0.101
Re  0.801  0.700  0.900
Re  0.098  0.901  0.800
Re  0.098  0.397  0.800
Re  0.500  0.000  0.000
Re  0.599  0.399  0.301
Re  0.599  0.902  0.300
Re  0.000  0.500  0.500
Re  0.301  0.200  0.399
Re  0.301  0.700  0.400
O  0.838  0.870  0.526
O  0.795  0.770  0.256
O  0.994  0.427  0.144
O  0.360  0.926  0.070
O  0.706  0.011  0.242
O  0.860  0.358  0.713
O  0.539  0.242  0.487
O  0.198  0.583  0.601
O  0.938  0.842  0.687
O  0.595  0.969  0.655
O  0.162  0.130  0.474
O  0.601  0.617  0.800
O  0.695  0.589  0.957
O  0.006  0.573  0.856
O  0.999  0.783  0.000
O  0.062  0.158  0.313
O  0.345  0.659  0.027
O  0.904  0.811  0.843
O  0.441  0.276  0.330
O  0.095  0.613  0.440
O  0.905  0.387  0.560
O  0.140  0.642  0.287
O  0.339  0.443  0.887
O  0.404  0.174  0.056
O  0.661  0.557  0.113
O  0.096  0.189  0.157
O  0.205  0.230  0.744
O  0.041  0.676  0.131
O  0.596  0.826  0.944
O  0.399  0.383  0.200
O  0.494  0.213  0.641
O  0.261  0.957  0.913
O  0.805  0.630  0.544
O  0.545  0.457  0.630
O  0.559  0.724  0.670
O  0.305  0.411  0.043
O  0.144  0.857  0.430
O  0.856  0.143  0.570
O  0.739  0.043  0.087
O  0.053  0.943  0.169
O  0.745  0.260  0.227
O  0.799  0.983  0.401
O  0.640  0.074  0.930
O  0.461  0.758  0.513
O  0.255  0.740  0.773
O  0.655  0.341  0.973
O  0.238  0.469  0.725
O  0.455  0.543  0.370
O  0.405  0.031  0.345
O  0.294  0.989  0.758
O  0.762  0.531  0.275
O  0.947  0.057  0.831
O  0.001  0.217  0.000
O  0.802  0.417  0.399
O  0.597  0.182  0.801
O  0.959  0.324  0.869
O  0.506  0.787  0.359
O  0.403  0.818  0.199
O  0.195  0.370  0.456
O  0.201  0.017  0.599
Li  0.299  0.700  0.900
Li  0.201  0.300  0.600
Li  0.701  0.300  0.100
Li  0.799  0.700  0.400

[2]
Below is crystalline Li5ReO6 at its relaxed geometry, with properties calculated at the GGA-PBE level.

Properties
Crystal system: monoclinic
Symmetry: No. 12
VASP energy in eV per cell: -75.3
ΔH_f (0 K) in kJ/mol of formula units: -2673

a b c (Å): 5.099 5.099 5.084
angles (deg): 80.05 80.05 119.75
Sites, in units of the cell vectors:
O  0.228  0.228  0.226
O  0.383  0.077  0.766
O  0.923  0.617  0.234
O  0.772  0.772  0.774
O  0.617  0.923  0.234
O  0.077  0.383  0.766
Li  0.824  0.176  0.500
Li  0.666  0.334  0.000
Li  0.500  0.500  0.500
Li  0.176  0.824  0.500
Li  0.334  0.666  0.000
Re  0.000  0.000  0.000

[3]
Below is crystalline LiReO4 at its relaxed geometry, with properties calculated at the GGA-PBE level.

Properties
Crystal system: triclinic
Symmetry: No. 2
VASP energy in eV per cell: -271.7
ΔH_f (0 K) in kJ/mol of formula units: -1339

a b c (Å): 7.049 8.620 9.877
angles (deg): 97.33 106.38 101.58
Sites, in units of the cell vectors:
O  0.252  0.937  0.425
O  0.140  0.373  0.181
O  0.933  0.798  0.574
O  0.841  0.405  0.572
O  0.269  0.804  0.044
O  0.653  0.971  0.249
O  0.067  0.202  0.426
O  0.860  0.627  0.819
O  0.483  0.374  0.792
O  0.347  0.029  0.751
O  0.634  0.769  0.986
O  0.045  0.361  0.850
O  0.159  0.595  0.428
O  0.440  0.225  0.353
O  0.748  0.063  0.575
O  0.955  0.639  0.150
O  0.560  0.775  0.647
O  0.517  0.626  0.208
O  0.731  0.196  0.956
O  0.058  0.021  0.159
O  0.942  0.979  0.841
O  0.226  0.621  0.739
O  0.366  0.231  0.014
O  0.774  0.379  0.261
Re  0.993  0.504  0.744
Re  0.479  0.207  0.877
Re  0.203  0.097  0.341
Re  0.521  0.793  0.123
Re  0.007  0.496  0.256
Re  0.797  0.903  0.659
Li  0.962  0.806  0.010
Li  0.249  0.804  0.589
Li  0.533  0.614  0.784
Li  0.038  0.194  0.990
Li  0.467  0.386  0.216
Li  0.751  0.196  0.411

[4]
Below is crystalline Li2RhO3 at its relaxed geometry, with properties calculated at the GGA-PBE level.

Properties
Crystal system: monoclinic
Symmetry: No. 12
VASP energy in eV per cell: -69.0
ΔH_f (0 K) in kJ/mol of formula units: -1016

a b c (Å): 5.154 5.154 5.156
angles (deg): 80.53 80.53 120.07
Sites, in units of the cell vectors:
O  0.731  0.731  0.264
O  0.076  0.425  0.266
O  0.575  0.924  0.734
O  0.269  0.269  0.736
O  0.924  0.575  0.734
O  0.425  0.076  0.266
Li  0.500  0.500  0.000
Li  0.000  0.000  0.500
Li  0.838  0.162  0.000
Li  0.162  0.838  0.000
Rh  0.667  0.333  0.500
Rh  0.333  0.667  0.500